#one
The following is a DFT calculation (PBE-GGA) of a relaxed Nb2O5 crystal.

Lattice parameters (Å, degrees): 3.8627 14.7110 15.4386 104.89 97.18 97.53
Closest atoms and distances in Å follow each position.
Positions (direct):
Nb: 0.1696 0.2471 0.0966  2 O 1.78-1.93
Nb: 0.3058 0.5118 0.0977  4 O 1.81-2.02
Nb: 0.9610 0.0227 0.8987  4 O 1.81-2.01
Nb: 0.3287 0.3290 0.3712  5 O 1.88-2.10
Nb: 0.6367 0.6722 0.6289  5 O 1.90-2.10
Nb: 0.8281 0.7535 0.9029  2 O 1.78-1.93
Nb: 0.5316 0.4086 0.6323  4 O 1.89-2.01
Nb: 0.7826 0.9398 0.6287  4 O 1.81-2.01
Nb: 0.6938 0.4883 0.9016  4 O 1.81-2.01
Nb: 0.0388 0.9783 0.1011  4 O 1.80-2.01
Nb: 0.2194 0.0612 0.3709  4 O 1.81-2.02
Nb: 0.5578 0.2165 0.8995  2 O 1.82
Nb: 0.6150 0.8621 0.3654  4 O 1.81-2.01
Nb: 0.3881 0.1387 0.6339  4 O 1.81-2.01
Nb: 0.4658 0.5926 0.3678  4 O 1.88-2.01
Nb: 0.4408 0.7836 0.0996  2 O 1.82
O: 0.6416 0.2323 0.0546  2 Nb 2.03
O: 0.6284 0.3441 0.9102  1 Nb 1.82
O: 0.2982 0.0924 0.5015  2 Nb 1.92-1.95
O: 0.1288 0.8976 0.3578  2 Nb 2.01
O: 0.4870 0.0610 0.9131  2 Nb 2.00-2.01
O: 0.3877 0.5486 0.2206  1 Nb 1.81
O: 0.5270 0.8344 0.2223  1 Nb 1.82
O: 0.0554 0.1861 0.9259  2 Nb 2.05
O: 0.1205 0.0180 0.2237  1 Nb 1.80
O: 0.7548 0.7292 0.7824  1 Nb 1.78
O: 0.2417 0.2719 0.2175  1 Nb 1.78
O: 0.7728 0.6266 0.9182  2 Nb 1.93-1.96
O: 0.9430 0.8145 0.0737  2 Nb 2.05
O: 0.4540 0.2655 0.6456  1 Nb 1.81
O: 0.0743 0.0905 0.0613  1 Nb 1.90
O: 0.5865 0.5411 0.6373  2 Nb 1.91-1.95
O: 0.0143 0.3961 0.6406  2 Nb 1.89-2.01
O: 0.3087 0.9798 0.6392  2 Nb 2.01
O: 0.4719 0.1650 0.7768  1 Nb 1.82
O: 0.6114 0.4515 0.7788  1 Nb 1.81
O: 0.2789 0.1832 0.3635  1 Nb 1.81
O: 0.4135 0.4598 0.3627  2 Nb 1.92-1.95
O: 0.8330 0.3144 0.3513  2 Nb 1.88-2.04
O: 0.3711 0.6559 0.0881  1 Nb 1.82
O: 0.9843 0.6047 0.3583  2 Nb 1.88-2.01
O: 0.8807 0.9843 0.7760  1 Nb 1.81
O: 0.2114 0.4860 0.9372  2 Nb 2.01
O: 0.7241 0.8181 0.6370  1 Nb 1.81
O: 0.4247 0.3580 0.5000  2 Nb 1.90-1.96
O: 0.7876 0.5138 0.0616  2 Nb 2.01-2.02
O: 0.5702 0.6435 0.5000  2 Nb 1.90-1.95
O: 0.7030 0.9078 0.4980  2 Nb 1.93-1.95
O: 0.6924 0.0207 0.3598  2 Nb 2.01-2.02
O: 0.8728 0.1030 0.6410  2 Nb 2.01
O: 0.5126 0.9401 0.0869  2 Nb 2.01
O: 0.3564 0.7686 0.9448  2 Nb 2.03
O: 0.2263 0.3738 0.0809  2 Nb 1.93-1.96
O: 0.5472 0.7352 0.3542  1 Nb 1.81
O: 0.1652 0.6856 0.6484  2 Nb 1.91-2.00
O: 0.9244 0.9105 0.9386  1 Nb 1.90

## Properties
SG: No. 1
V in A^3/atom: 14.80



#two
The following is a DFT calculation (PBE-GGA) of a relaxed Nb2O5 crystal.

Lattice parameters (Å, degrees): 7.8264 3.8571 6.8029 90.00 89.88 90.00
Closest atoms and distances in Å follow each position.
Positions (direct):
Nb: 0.0939 0.2500 0.8052  4 O 1.82-2.02
Nb: 0.2767 0.2500 0.2681  1 O 1.73
Nb: 0.7233 0.7500 0.7319  1 O 1.73
Nb: 0.9061 0.7500 0.1948  4 O 1.82-2.02
O: 0.0312 0.7500 0.8560  2 Nb 2.02
O: 0.1744 0.2500 0.5538  1 Nb 1.82
O: 0.1872 0.7500 0.2556  3 Nb 2.05-2.24
O: 0.2845 0.2500 0.9695  2 Nb 1.87-2.03
O: 0.4936 0.2500 0.3180  1 Nb 1.73
O: 0.5064 0.7500 0.6820  1 Nb 1.73
O: 0.7155 0.7500 0.0305  2 Nb 1.87-2.03
O: 0.8128 0.2500 0.7444  3 Nb 2.05-2.24
O: 0.8256 0.7500 0.4462  1 Nb 1.82
O: 0.9688 0.2500 0.1440  2 Nb 2.02

## Properties
SG: No. 11
V in A^3/atom: 14.67



Most stable: #one (next structure +60 meV per atom)



#one
The following is a DFT calculation (PBE-GGA) of a relaxed Nb5P7O30 crystal.

Lattice parameters (Å, degrees): 8.8752 8.9335 15.8914 91.59 106.11 90.03
Closest atoms and distances in Å follow each position.
Positions (direct):
Nb: 0.2064 0.9626 0.9044  6 O 1.97-2.05
Nb: 0.7945 0.0390 0.0954  6 O 1.97-2.05
Nb: 0.2992 0.5387 0.0949  6 O 1.97-2.04
Nb: 0.9186 0.5542 0.3264  1 O 1.74
Nb: 0.5926 0.9464 0.6726  1 O 1.74
Nb: 0.4046 0.0533 0.3268  1 O 1.74
Nb: 0.6997 0.4627 0.9046  6 O 1.97-2.04
Nb: 0.4995 0.5002 0.4997  6 O 1.96-2.01
Nb: 0.9997 0.0014 0.4999  6 O 1.96-2.01
Nb: 0.0795 0.4467 0.6735  1 O 1.73
P: 0.2519 0.4094 0.2890  4 O 1.53-1.57
P: 0.3202 0.2315 0.5950  4 O 1.52-1.55
P: 0.5522 0.1042 0.8815  4 O 1.49-1.57
P: 0.6783 0.7700 0.4046  4 O 1.52-1.55
P: 0.4474 0.8966 0.1180  4 O 1.49-1.57
P: 0.0282 0.2511 0.9995  4 O 1.54
P: 0.9722 0.7502 0.0004  4 O 1.54-1.55
P: 0.0356 0.9081 0.2890  4 O 1.52-1.58
P: 0.7258 0.2691 0.4047  4 O 1.52-1.55
P: 0.3300 0.6052 0.8814  4 O 1.49-1.57
P: 0.2727 0.7302 0.5952  4 O 1.52-1.55
P: 0.7460 0.5907 0.7103  4 O 1.53-1.57
P: 0.9628 0.0906 0.7111  4 O 1.53-1.57
P: 0.6664 0.3968 0.1171  4 O 1.49-1.57
O: 0.2035 0.9275 0.2834  1 P 1.53
O: 0.3391 0.9326 0.0259  1 P 1.55
O: 0.7107 0.4963 0.7847  1 P 1.57
O: 0.4236 0.7257 0.1317  1 P 1.57
O: 0.8964 0.3340 0.9339  1 P 1.54
O: 0.6141 0.6605 0.4610  1 P 1.55
O: 0.7294 0.6792 0.3340  1 P 1.53
O: 0.8964 0.8634 0.0513  1 P 1.55
O: 0.3789 0.0880 0.8866  1 P 1.57
O: 0.6092 0.9148 0.5672  1 Nb 1.74
O: 0.9788 0.0249 0.6225  1 P 1.55
O: 0.1762 0.1489 0.5337  1 P 1.55
O: 0.2899 0.5019 0.2148  1 P 1.57
O: 0.4150 0.9963 0.1876  1 P 1.49
O: 0.1037 0.1380 0.9484  1 P 1.54
O: 0.0748 0.9965 0.7848  1 P 1.57
O: 0.2698 0.3237 0.6651  1 P 1.53
O: 0.7104 0.7547 0.7257  1 P 1.53
O: 0.5807 0.0044 0.8105  1 P 1.49
O: 0.3567 0.4750 0.3773  1 P 1.55
O: 0.7056 0.2264 0.1311  1 P 1.57
O: 0.9195 0.5717 0.7156  1 P 1.53
O: 0.9606 0.4129 0.5685  1 Nb 1.73
O: 0.8212 0.8553 0.4655  1 P 1.55
O: 0.8494 0.1627 0.4608  1 P 1.55
O: 0.3857 0.3392 0.5387  1 P 1.55
O: 0.6857 0.4339 0.0258  1 P 1.55
O: 0.2282 0.5044 0.8122  1 P 1.49
O: 0.0779 0.4296 0.2826  1 P 1.53
O: 0.6036 0.1757 0.3357  1 P 1.54
O: 0.7667 0.4968 0.1874  1 P 1.49
O: 0.5777 0.2744 0.8675  1 P 1.57
O: 0.0354 0.5894 0.4326  1 Nb 1.74
O: 0.4486 0.1247 0.6406  1 P 1.52
O: 0.9840 0.7449 0.2728  1 P 1.52
O: 0.1532 0.8410 0.5402  1 P 1.55
O: 0.9240 0.0037 0.2157  1 P 1.58
O: 0.9616 0.1688 0.0657  1 P 1.54
O: 0.3970 0.8186 0.6652  1 P 1.53
O: 0.6448 0.3539 0.4665  1 P 1.55
O: 0.4885 0.4143 0.1123  1 P 1.57
O: 0.5079 0.5862 0.8863  1 P 1.57
O: 0.8441 0.6391 0.9492  1 P 1.54
O: 0.0400 0.8308 0.9345  1 P 1.54
O: 0.6412 0.5247 0.6219  1 P 1.55
O: 0.6206 0.9153 0.1129  1 P 1.57
O: 0.0219 0.9726 0.3781  1 P 1.55
O: 0.2856 0.2441 0.2744  1 P 1.53
O: 0.1888 0.6267 0.6422  1 P 1.52
O: 0.5470 0.8733 0.3579  1 P 1.52
O: 0.3512 0.6448 0.5324  1 P 1.55
O: 0.0125 0.2549 0.7260  1 P 1.53
O: 0.2917 0.7753 0.8659  1 P 1.57
O: 0.8063 0.3746 0.3569  1 P 1.52
O: 0.3927 0.0881 0.4328  1 Nb 1.74
O: 0.1569 0.3610 0.0512  1 P 1.54
O: 0.6627 0.0663 0.9730  1 P 1.56
O: 0.1023 0.6667 0.0673  1 P 1.54
O: 0.3097 0.5708 0.9730  1 P 1.56
O: 0.7960 0.0704 0.7184  1 P 1.53

## Properties
SG: No. 1
V in A^3/atom: 14.40



#two
The following is a DFT calculation (PBE-GGA) of a relaxed Nb5P7O30 crystal.

Lattice parameters (Å, degrees): 15.8990 15.8990 8.9335 88.40 88.40 32.41
Closest atoms and distances in Å follow each position.
Positions (direct):
Nb: 0.7936 0.3040 0.9620  6 O 1.98-2.07
Nb: 0.2064 0.6960 0.0380  6 O 1.96-2.07
Nb: 0.6960 0.2064 0.5380  6 O 1.96-2.07
Nb: 0.0814 0.5944 0.5535  2 O 1.81-2.03
Nb: 0.4056 0.9186 0.9465  1 O 1.81
Nb: 0.5944 0.0814 0.0535  1 O 1.81
Nb: 0.3040 0.7936 0.4620  6 O 1.96-2.07
Nb: 0.5000 0.0000 0.5000  6 O 1.98-1.99
Nb: 0.0000 0.5000 0.0000  6 O 1.98-1.99
Nb: 0.9186 0.4056 0.4465  1 O 1.81
P: 0.7481 0.9650 0.4087  4 O 1.51-1.61
P: 0.6798 0.7273 0.2308  4 O 1.51-1.59
P: 0.4478 0.6728 0.1035  3 O 1.43-1.57
P: 0.3202 0.2727 0.7692  4 O 1.51-1.59
P: 0.5522 0.3272 0.8965  3 O 1.43-1.57
P: 0.9705 0.0295 0.2500  4 O 1.52-1.57
P: 0.0295 0.9705 0.7500  4 O 1.52-1.57
P: 0.9650 0.7481 0.9087  4 O 1.51-1.61
P: 0.2727 0.3202 0.2692  4 O 1.51-1.59
P: 0.6728 0.4478 0.6035  3 O 1.43-1.57
P: 0.7273 0.6798 0.7308  4 O 1.51-1.59
P: 0.2519 0.0350 0.5913  4 O 1.51-1.61
P: 0.0350 0.2519 0.0913  4 O 1.51-1.61
P: 0.3272 0.5522 0.3965  3 O 1.43-1.57
O: 0.7965 0.9222 0.9268  1 P 1.53
O: 0.6609 0.3153 0.9319  1 P 1.61
O: 0.2893 0.9281 0.4957  1 P 1.52
O: 0.5764 0.2940 0.7250  1 P 1.56
O: 0.1036 0.9645 0.3333  1 P 1.57
O: 0.3859 0.1553 0.6598  1 P 1.51
O: 0.2706 0.3975 0.6785  1 P 1.59
O: 0.1036 0.8472 0.8628  1 P 1.52
O: 0.6211 0.4943 0.0873  1 P 1.57
O: 0.3908 0.0441 0.9141  1 Nb 1.81
O: 0.0212 0.3583 0.0242  1 P 1.61
O: 0.8238 0.6446 0.1482  1 P 1.55
O: 0.7107 0.0719 0.5043  1 P 1.52
O: 0.5850 0.2294 0.9956  1 P 1.43
O: 0.8964 0.1529 0.1372  1 P 1.52
O: 0.9281 0.2893 0.9957  1 P 1.52
O: 0.7294 0.6026 0.3215  1 P 1.59
O: 0.2896 0.9868 0.7540  1 P 1.51
O: 0.4150 0.7706 0.0044  1 P 1.43
O: 0.6417 0.9788 0.4758  1 P 1.61
O: 0.2940 0.5764 0.2250  1 P 1.56
O: 0.0778 0.2035 0.5732  1 P 1.53
O: 0.0441 0.3908 0.4141  1 Nb 1.81
O: 0.1762 0.3554 0.8518  1 P 1.55
O: 0.1553 0.3859 0.1598  1 P 1.51
O: 0.6141 0.8447 0.3402  1 P 1.51
O: 0.3153 0.6609 0.4319  1 P 1.61
O: 0.7706 0.4150 0.5044  1 P 1.43
O: 0.9222 0.7965 0.4268  1 P 1.53
O: 0.3975 0.2706 0.1785  1 P 1.59
O: 0.2294 0.5850 0.4956  1 P 1.43
O: 0.4236 0.7060 0.2750  1 P 1.56
O: 0.9559 0.6092 0.5859  1 Nb 1.81
O: 0.5514 0.8100 0.1240  1 P 1.52
O: 0.0132 0.7104 0.7460  1 P 1.51
O: 0.8447 0.6141 0.8402  1 P 1.51
O: 0.0719 0.7107 0.0043  1 P 1.52
O: 0.0355 0.8964 0.1667  1 P 1.57
O: 0.6026 0.7294 0.8215  1 P 1.59
O: 0.3554 0.1762 0.3518  1 P 1.55
O: 0.5057 0.3789 0.4127  1 P 1.57
O: 0.4943 0.6211 0.5873  1 P 1.57
O: 0.1529 0.8964 0.6372  1 P 1.52
O: 0.9645 0.1036 0.8333  1 P 1.57
O: 0.3583 0.0212 0.5242  1 P 1.61
O: 0.3789 0.5057 0.9127  1 P 1.57
O: 0.9788 0.6417 0.9758  1 P 1.61
O: 0.7104 0.0132 0.2460  1 P 1.51
O: 0.8100 0.5514 0.6240  1 P 1.52
O: 0.4486 0.1900 0.8760  1 P 1.52
O: 0.6446 0.8238 0.6482  1 P 1.55
O: 0.9868 0.2896 0.2540  1 P 1.51
O: 0.7083 0.4280 0.7746  1 P 1.57
O: 0.1937 0.4514 0.3739  1 P 1.56
O: 0.6092 0.9559 0.0859  1 Nb 1.81
O: 0.8472 0.1036 0.3628  1 P 1.52
O: 0.3391 0.6847 0.0681  1 P 1.61
O: 0.8964 0.0355 0.6667  1 P 1.57
O: 0.6847 0.3391 0.5681  1 P 1.61
O: 0.2035 0.0778 0.0732  1 P 1.53

## Properties
SG: No. 1
V in A^3/atom: 14.40



Most stable: #one (next structure +26 meV per atom)